1.
A relaxed Ba5Bi3 crystal. Source: the Materials Project, functional r2SCAN.

The space group is P6_3/mcm (No. 193) and the conventional cell measures 10.2889, 10.2889 and 7.9888 Å, with angles of 90.00, 90.00 and 120.00 degrees. Symmetry generates all atoms from Ba at (0.0000, 0.2543, 0.2500), Ba at (0.3333, 0.6667, 0.0000) and Bi at (0.0000, 0.3911, 0.7500).

The value obtained for the size of the total moment is 1.00 μB/f.u. The energy comes out at -316.51 eV per formula unit. The calculation puts the formation energy at -24.507 kcal/mol of atoms.

2.
A relaxed GdLu3S6 crystal. Source: the Materials Project, functional r2SCAN.

The space group is P2_1/m (No. 11) and the conventional cell measures 10.861, 3.879 and 11.089 Å, with angles of 90.00, 109.05 and 90.00 degrees. Symmetry generates all atoms from Gd at (0.047, 0.250, 0.194), Lu at (0.161, 0.250, 0.586), Lu at (0.319, 0.750, 0.998), Lu at (0.439, 0.250, 0.333), S at (0.081, 0.750, 0.406), S at (0.116, 0.250, 0.963), S at (0.197, 0.750, 0.749), S at (0.263, 0.750, 0.227), S at (0.395, 0.250, 0.560) and S at (0.477, 0.250, 0.112).

The value obtained for the size of the total moment is 7.00 μB/f.u. The energy comes out at -229.48 eV per formula unit. The calculation puts the formation energy at -54.515 kcal/mol of atoms.